[1]
XeF6 after structural relaxation. Source: the Materials Project, functional PBE.

Geometry as extended XYZ:
```
112
Lattice="8.896 0.000 0.000 0.000 12.587 0.000 0.000 0.000 17.688" Properties=species:S:1:pos:R:3 pbc="T T T"
Xe 2.625 11.803 2.140
Xe 3.434 3.314 6.551
Xe 2.327 7.007 1.809
Xe 6.569 0.714 15.879
Xe 7.073 5.510 6.704
Xe 5.462 9.607 11.137
Xe 6.271 5.510 15.548
Xe 6.862 3.019 3.383
Xe 6.775 0.714 7.035
Xe 2.034 9.313 14.305
Xe 2.414 9.313 5.461
Xe 2.121 7.007 10.653
Xe 6.481 3.019 12.227
Xe 1.014 3.314 15.395
Xe 7.882 9.607 2.293
Xe 1.823 11.803 10.984
F 5.742 9.304 9.186
F 7.243 3.354 1.474
F 0.528 9.407 6.135
F 5.862 9.816 13.087
F 7.635 5.434 17.027
F 7.800 2.605 16.273
F 5.734 3.572 14.461
F 6.890 5.038 3.405
F 3.790 10.770 0.878
F 5.582 7.007 16.640
F 6.101 3.354 10.318
F 3.551 6.479 9.371
F 5.688 11.731 16.696
F 1.096 8.898 1.415
F 0.031 9.202 14.240
F 4.876 0.719 14.779
F 7.609 7.629 2.547
F 8.149 4.526 14.478
F 3.352 8.898 10.259
F 2.795 9.647 7.370
F 7.610 3.572 5.617
F 3.162 9.865 3.227
F 5.735 7.629 11.391
F 1.134 0.714 9.892
F 3.075 8.082 12.714
F 2.006 11.331 14.283
F 2.987 3.307 15.418
F 6.453 5.038 12.249
F 7.523 1.788 13.818
F 5.544 2.605 7.429
F 5.798 11.526 10.705
F 2.874 5.586 11.837
F 3.920 9.407 14.979
F 8.468 0.719 5.935
F 1.373 8.082 3.870
F 3.701 10.819 12.054
F 5.820 1.788 4.974
F 1.653 9.647 16.214
F 1.083 7.941 9.231
F 5.106 4.477 16.810
F 6.380 1.134 11.609
F 7.435 9.600 11.114
F 0.747 10.819 3.210
F 7.655 11.731 7.852
F 7.602 9.304 0.342
F 0.897 6.479 0.527
F 1.294 3.010 17.346
F 3.365 7.941 0.387
F 1.414 3.523 13.445
F 8.368 3.113 11.553
F 1.461 3.307 6.574
F 0.260 12.318 12.132
F 5.194 4.526 5.634
F 7.761 7.007 7.796
F 3.154 3.010 8.502
F 7.813 1.647 8.457
F 7.260 7.028 14.679
F 3.207 5.438 0.993
F 3.034 3.523 4.601
F 4.479 2.909 12.293
F 1.351 5.232 15.827
F 1.574 5.586 2.993
F 5.531 1.647 17.301
F 2.812 0.734 11.853
F 7.482 9.816 4.243
F 0.658 10.770 9.722
F 4.976 3.113 2.709
F 6.022 11.879 5.851
F 7.545 11.526 1.861
F 8.636 6.024 5.556
F 0.428 7.012 11.753
F 7.322 11.879 14.695
F 7.999 0.186 17.162
F 1.636 0.734 3.009
F 4.188 12.318 3.288
F 1.240 5.438 9.837
F 4.020 7.012 2.909
F 3.161 1.336 6.297
F 2.516 7.427 6.079
F 5.708 5.434 8.183
F 2.442 11.331 5.439
F 1.287 1.336 15.141
F 3.097 5.232 6.983
F 4.708 6.024 14.400
F 4.416 9.202 5.396
F 3.313 0.714 1.048
F 5.909 9.600 2.270
F 1.260 11.728 0.661
F 6.963 1.134 2.765
F 5.345 0.186 8.318
F 1.932 7.427 14.923
F 8.864 2.909 3.449
F 1.286 9.865 12.071
F 6.083 7.028 5.835
F 3.188 11.728 9.505
F 8.238 4.477 7.966
```

DFT formation energy in eV per atom: -0.786
Total magnetic moment in μB per cell: 0.00
E above lowest polymorph in meV/atom: 7
Final energy in Ry per atom: -0.1496

---

[2]
K4S10O15 after structural relaxation. Source: the Materials Project, functional PBE.

Geometry as extended XYZ:
```
116
Lattice="-5.565 -7.014 -2.548 9.400 -5.274 -6.011 5.118 -10.229 16.978" Properties=species:S:1:pos:R:3 pbc="T T T"
K 6.518 -13.214 -3.444
K 1.714 -10.287 -0.855
K -0.218 -13.067 11.017
K 4.327 -15.478 7.572
K 2.435 -9.302 11.863
K 7.239 -12.229 9.274
K 9.171 -9.449 -2.598
K 4.626 -7.039 0.847
K 3.865 -13.976 0.147
K -0.880 -6.582 -1.091
K 3.783 -15.000 11.897
K 5.574 -16.490 3.336
K 5.088 -8.541 8.272
K 9.833 -15.935 9.509
K 5.170 -7.517 -3.478
K 3.379 -6.027 5.083
S -0.027 -10.307 -3.943
S -0.857 -8.080 5.474
S 4.575 -12.474 5.706
S 8.650 -21.186 7.053
S 8.980 -12.210 12.362
S 9.810 -14.437 2.945
S 4.378 -10.043 2.713
S 0.303 -1.330 1.365
S 1.286 -11.187 -5.205
S 0.863 -8.901 4.797
S 3.123 -11.315 6.505
S 7.070 -20.643 8.193
S 7.667 -11.330 13.624
S 8.090 -13.615 3.622
S 5.830 -11.201 1.914
S 1.883 -1.873 0.226
S 2.999 -11.604 -4.175
S 0.644 -9.323 2.810
S 2.155 -12.389 7.949
S 6.542 -18.731 7.706
S 5.954 -10.913 12.594
S 8.309 -13.194 5.609
S 6.798 -10.128 0.470
S 2.411 -3.785 0.713
S 0.686 -8.211 -3.925
S 7.279 -15.141 -0.203
S 3.435 -13.716 4.271
S 0.941 -14.979 14.147
S 8.267 -14.306 12.344
S 1.674 -7.376 8.622
S 5.518 -8.800 4.148
S 8.012 -7.538 -5.728
S 8.061 -6.481 -0.685
S 1.095 -7.404 1.901
S 3.458 -12.097 9.661
S 10.856 -12.038 8.508
S 0.892 -16.036 9.104
S 7.857 -15.113 6.518
S 5.495 -10.419 -1.242
S -1.903 -10.479 -0.089
O 6.401 -18.215 11.737
O -1.195 -10.947 6.150
O 2.310 -12.888 3.838
O 4.824 -9.998 -7.435
O 2.552 -4.302 -3.318
O 10.148 -11.570 2.269
O 6.643 -9.629 4.581
O 4.129 -12.519 15.854
O 1.612 -8.178 -2.785
O 6.560 -15.290 -1.476
O 3.089 -14.910 5.056
O 1.080 -13.669 13.494
O 7.341 -14.339 11.204
O 2.393 -7.226 9.895
O 5.864 -7.607 3.363
O 7.873 -8.847 -5.076
O -0.588 -7.521 -3.692
O 6.453 -14.652 0.906
O 4.474 -13.937 3.259
O 2.002 -15.937 13.816
O 9.541 -14.996 12.111
O 2.500 -7.864 7.512
O 4.479 -8.580 5.160
O 6.951 -6.580 -5.397
O 7.295 -7.244 -1.677
O 2.206 -6.834 2.673
O 3.907 -10.702 9.603
O 10.062 -13.241 8.787
O 1.658 -15.273 10.096
O 6.747 -15.683 5.746
O 5.046 -11.815 -1.184
O -1.109 -9.276 -0.368
O 7.289 -6.125 0.521
O -0.154 -6.624 1.989
O 4.545 -13.081 9.499
O 11.791 -12.189 7.377
O 1.664 -16.391 7.898
O 9.107 -15.892 6.430
O 4.408 -9.435 -1.080
O -2.838 -10.328 1.042
O 3.822 -14.050 -2.947
O 1.457 -7.795 0.536
O 2.556 -12.388 10.778
O 4.506 -17.815 5.922
O 5.131 -8.467 11.366
O 7.496 -14.722 7.883
O 6.397 -10.129 -2.359
O 4.447 -4.702 2.497
O 6.342 -11.234 -5.457
O 1.890 -12.268 1.158
O -1.393 -12.346 8.546
O 5.503 -16.199 10.042
O 2.611 -11.283 13.876
O 7.063 -10.249 7.261
O 10.346 -10.170 -0.127
O 3.450 -6.317 -1.623
O 3.874 -7.958 -5.962
O -0.262 -12.951 4.618
O -0.039 -4.330 -2.597
O 9.215 -9.566 3.801
```

DFT formation energy in eV per atom: -1.135
Total magnetic moment in μB per cell: 1.20
Final energy in Ry per atom: -0.3615

---

- Number 2 is which compound?
  K4S10O15

---

- total magnetic moment of number 1 (XeF6)?
  0.00 μB per cell

---

- final energy of number 2 (K4S10O15)?
  -0.3615 Ry per atom

---

- Which formula does entry 1 have?
  XeF6